1 | First-principles (GGA+U) data for a relaxed MgTi8Ni8O24 crystal, as listed in the Materials Project database.

abc: 5.6350 11.1662 11.1474
angles: 54.41 54.02 54.10
Fractional coordinates of all 41 atoms:
Mg1 0.2884 0.6614 0.6596
Ti1 0.3549 0.1750 0.1703
Ti2 0.1400 0.0772 0.5692
Ti3 0.1366 0.5721 0.0781
Ti4 0.0165 0.5053 0.5173
Ti5 0.8090 0.4184 0.4251
Ti6 0.8596 0.4223 0.9221
Ti7 0.8988 0.9185 0.4068
Ti8 0.8257 0.9377 0.9299
Ni1 0.1379 0.0732 0.0718
Ni2 0.3498 0.6770 0.1665
Ni3 0.3585 0.1586 0.6790
Ni4 0.6420 0.3176 0.3160
Ni5 0.4996 0.7425 0.7433
Ni6 0.6454 0.3200 0.8280
Ni7 0.6498 0.8295 0.3203
Ni8 0.6622 0.8287 0.8359
O1 0.0536 0.3757 0.2118
O2 0.4229 0.0455 0.3699
O3 0.7206 0.2251 0.0316
O4 0.2171 0.2856 0.4746
O5 0.5532 0.4697 0.1110
O6 0.0479 0.3740 0.7188
O7 0.0440 0.8705 0.2280
O8 0.9535 0.1145 0.2785
O9 0.4679 0.0251 0.8733
O10 0.4273 0.5158 0.3774
O11 0.7616 0.2092 0.5270
O12 0.7606 0.7210 0.0362
O13 0.2191 0.2883 0.9706
O14 0.2417 0.7960 0.4520
O15 0.6142 0.4624 0.6112
O16 0.5677 0.9817 0.1139
O17 0.0772 0.8749 0.7125
O18 0.9546 0.1115 0.7783
O19 0.9482 0.6067 0.2912
O20 0.4202 0.5355 0.8769
O21 0.7363 0.7087 0.5325
O22 0.2351 0.7813 0.9617
O23 0.5680 0.9545 0.6136
O24 0.8913 0.6210 0.7975


2 | First-principles (GGA+U) data for a relaxed MgTi8Ni8O24 crystal, as listed in the Materials Project database.

abc: 5.7062 10.8814 11.4123
angles: 55.57 52.89 55.19
Fractional coordinates of all 41 atoms:
Mg1 0.8329 0.3505 0.1715
Ti1 0.4013 0.1514 0.1930
Ti2 0.1364 0.0708 0.5894
Ti3 0.1678 0.5870 0.0499
Ti4 0.1521 0.5875 0.5502
Ti5 0.8529 0.4292 0.4187
Ti6 0.8669 0.4343 0.8882
Ti7 0.8872 0.9165 0.4206
Ti8 0.8220 0.9263 0.9346
Ni1 0.1415 0.0741 0.0794
Ni2 0.3515 0.6759 0.1731
Ni3 0.3395 0.1543 0.7175
Ni4 0.5387 0.2776 0.4485
Ni5 0.3566 0.6753 0.6647
Ni6 0.6247 0.3314 0.8137
Ni7 0.6736 0.8160 0.3263
Ni8 0.6476 0.8277 0.8138
O1 0.1089 0.3731 0.1998
O2 0.4498 0.0313 0.3767
O3 0.7309 0.2231 0.0346
O4 0.2069 0.2859 0.4497
O5 0.5572 0.5050 0.0733
O6 0.0441 0.3823 0.7105
O7 0.0565 0.8711 0.2332
O8 0.9817 0.1201 0.2789
O9 0.4627 0.0080 0.8916
O10 0.4613 0.5157 0.3752
O11 0.7735 0.2022 0.5566
O12 0.7780 0.7112 0.0317
O13 0.1844 0.3027 0.9637
O14 0.2514 0.7807 0.4635
O15 0.5626 0.4751 0.6048
O16 0.5767 0.9793 0.1172
O17 0.0556 0.8807 0.7154
O18 0.9454 0.1142 0.7838
O19 0.9605 0.6131 0.2722
O20 0.4350 0.5297 0.8699
O21 0.7678 0.7177 0.5255
O22 0.2177 0.7914 0.9569
O23 0.5588 0.9810 0.6063
O24 0.9486 0.6233 0.7603


3 | First-principles (GGA+U) data for a relaxed MgTi8Ni8O24 crystal, as listed in the Materials Project database.

abc: 5.5723 11.1948 11.1182
angles: 54.34 54.09 54.26
Fractional coordinates of all 41 atoms:
Mg1 0.6629 0.8126 0.8038
Ti1 0.3831 0.1738 0.1708
Ti2 0.1568 0.0676 0.5744
Ti3 0.1627 0.5796 0.0541
Ti4 0.1598 0.5653 0.5639
Ti5 0.8792 0.4215 0.4212
Ti6 0.8811 0.4204 0.9226
Ti7 0.8980 0.9230 0.4053
Ti8 0.8436 0.9213 0.9012
Ni1 0.1873 0.0788 0.0733
Ni2 0.3673 0.6665 0.1700
Ni3 0.3785 0.1723 0.6593
Ni4 0.6692 0.3226 0.3182
Ni5 0.3713 0.6682 0.6642
Ni6 0.6714 0.3278 0.8120
Ni7 0.6739 0.8158 0.3181
Ni8 0.0223 0.9963 0.9898
O1 0.0934 0.3704 0.2083
O2 0.4579 0.0347 0.3627
O3 0.7497 0.2258 0.0304
O4 0.2521 0.2799 0.4634
O5 0.5888 0.4678 0.1062
O6 0.0779 0.3766 0.7127
O7 0.0735 0.8732 0.2158
O8 0.9780 0.1127 0.2806
O9 0.4582 0.0164 0.8682
O10 0.4605 0.5199 0.3769
O11 0.7931 0.2166 0.5174
O12 0.7826 0.7094 0.0177
O13 0.2547 0.2842 0.9685
O14 0.2503 0.7757 0.4636
O15 0.5858 0.4697 0.6045
O16 0.5939 0.9745 0.1090
O17 0.0787 0.8727 0.7052
O18 0.9598 0.1138 0.7730
O19 0.9673 0.6075 0.2712
O20 0.4603 0.5237 0.8735
O21 0.7910 0.7119 0.5186
O22 0.2514 0.7658 0.9598
O23 0.5811 0.9686 0.5979
O24 0.9728 0.6047 0.7710


Most stable structure: 1


1 | First-principles (GGA+U) data for a relaxed MgTi8Ni8O24 crystal, as listed in the Materials Project database.

abc: 5.5734 11.1109 11.2614
angles: 54.05 54.44 54.44
Fractional coordinates of all 41 atoms:
Mg1 0.4955 0.7703 0.2567
Ti1 0.3598 0.1686 0.1792
Ti2 0.1568 0.0732 0.5739
Ti3 0.1418 0.5766 0.0591
Ti4 0.1218 0.5827 0.5799
Ti5 0.8413 0.4182 0.4406
Ti6 0.8562 0.4278 0.9282
Ti7 0.8308 0.9451 0.4224
Ti8 0.8207 0.9504 0.9170
Ni1 0.1336 0.0810 0.0702
Ni2 0.3320 0.6794 0.1543
Ni3 0.3471 0.1821 0.6759
Ni4 0.6390 0.3366 0.3217
Ni5 0.3194 0.6875 0.6778
Ni6 0.6378 0.3343 0.8240
Ni7 0.8317 0.7174 0.3875
Ni8 0.6248 0.8368 0.8232
O1 0.0623 0.3774 0.2096
O2 0.4379 0.0468 0.3708
O3 0.7150 0.2279 0.0341
O4 0.2222 0.2936 0.4719
O5 0.5459 0.4766 0.1114
O6 0.0420 0.3901 0.7248
O7 0.0811 0.8678 0.2331
O8 0.9467 0.1255 0.2841
O9 0.4490 0.0301 0.8741
O10 0.4281 0.5427 0.3813
O11 0.7639 0.2308 0.5232
O12 0.7387 0.7238 0.0383
O13 0.2177 0.2903 0.9746
O14 0.2127 0.7848 0.4759
O15 0.5573 0.4839 0.6124
O16 0.5590 0.9831 0.1114
O17 0.0397 0.8950 0.7166
O18 0.9377 0.1267 0.7777
O19 0.9312 0.6127 0.2688
O20 0.4210 0.5330 0.8804
O21 0.7178 0.7331 0.5705
O22 0.2120 0.7846 0.9649
O23 0.5483 0.9886 0.6138
O24 0.9368 0.6175 0.7885


2 | First-principles (GGA+U) data for a relaxed MgTi8Ni8O24 crystal, as listed in the Materials Project database.

abc: 5.6622 11.2002 11.1434
angles: 54.32 53.91 53.94
Fractional coordinates of all 41 atoms:
Mg1 0.2057 0.0872 0.0912
Ti1 0.4886 0.2328 0.2351
Ti2 0.1243 0.0739 0.5942
Ti3 0.1606 0.5829 0.0612
Ti4 0.1418 0.5830 0.5669
Ti5 0.8497 0.4396 0.4301
Ti6 0.8897 0.4252 0.9125
Ti7 0.8526 0.9203 0.4297
Ti8 0.8205 0.8994 0.9334
Ni1 0.0047 0.0019 0.0065
Ni2 0.3435 0.6727 0.1832
Ni3 0.3616 0.1764 0.6738
Ni4 0.6871 0.3274 0.3309
Ni5 0.3504 0.6770 0.6714
Ni6 0.6437 0.3319 0.8268
Ni7 0.6460 0.8291 0.3284
Ni8 0.6407 0.8223 0.8193
O1 0.0741 0.3813 0.2243
O2 0.4162 0.0399 0.3857
O3 0.7651 0.2173 0.0327
O4 0.2490 0.2835 0.4558
O5 0.5658 0.4462 0.1253
O6 0.0500 0.3869 0.7179
O7 0.0489 0.8862 0.2212
O8 0.8657 0.1323 0.2908
O9 0.4298 0.0208 0.8861
O10 0.4567 0.5273 0.3839
O11 0.7712 0.2216 0.5352
O12 0.7552 0.7055 0.0322
O13 0.2372 0.2988 0.9549
O14 0.2299 0.7851 0.4708
O15 0.5646 0.4782 0.6161
O16 0.6160 0.9536 0.1123
O17 0.0552 0.8839 0.7154
O18 0.9454 0.1141 0.7880
O19 0.9525 0.6178 0.2847
O20 0.4355 0.5335 0.8800
O21 0.7606 0.7226 0.5284
O22 0.2337 0.7806 0.9737
O23 0.5524 0.9769 0.6159
O24 0.9486 0.6183 0.7752


3 | First-principles (GGA+U) data for a relaxed MgTi8Ni8O24 crystal, as listed in the Materials Project database.

abc: 5.5820 11.1480 11.0982
angles: 54.91 54.89 54.52
Fractional coordinates of all 41 atoms:
Mg1 0.7988 0.3985 0.4008
Ti1 0.3496 0.1786 0.1673
Ti2 0.1268 0.0650 0.5794
Ti3 0.1465 0.5877 0.0582
Ti4 0.1622 0.5858 0.5827
Ti5 0.0063 0.4887 0.4901
Ti6 0.8522 0.4228 0.9255
Ti7 0.8705 0.9307 0.4100
Ti8 0.8157 0.9357 0.9280
Ni1 0.1448 0.0661 0.0718
Ni2 0.3450 0.6795 0.1688
Ni3 0.3597 0.1572 0.6752
Ni4 0.5341 0.2859 0.2749
Ni5 0.3513 0.6795 0.6789
Ni6 0.6429 0.3208 0.8241
Ni7 0.6535 0.8242 0.3208
Ni8 0.6395 0.8248 0.8219
O1 0.1235 0.3719 0.1964
O2 0.4241 0.0388 0.3679
O3 0.7284 0.2201 0.0265
O4 0.1866 0.2824 0.4864
O5 0.5745 0.4855 0.0961
O6 0.0508 0.3862 0.7080
O7 0.0374 0.8718 0.2316
O8 0.9620 0.1135 0.2760
O9 0.4556 0.0150 0.8764
O10 0.3820 0.5372 0.3875
O11 0.7660 0.1910 0.5414
O12 0.7641 0.7156 0.0301
O13 0.2269 0.2802 0.9728
O14 0.2287 0.7875 0.4716
O15 0.5729 0.4762 0.6110
O16 0.5661 0.9744 0.1160
O17 0.0488 0.8788 0.7200
O18 0.9452 0.1079 0.7820
O19 0.9452 0.6010 0.2889
O20 0.4373 0.5271 0.8804
O21 0.7728 0.7056 0.5263
O22 0.2186 0.7791 0.9707
O23 0.5609 0.9648 0.6051
O24 0.9369 0.6141 0.7857


Most stable structure: 2